BaLiMg14 | PBE-GGA | optimized geometry

Total magnetization ... 0.01 μB per formula unit
Offset from the most stable computed form ... 0.005 eV per atom
E_form ... 0.07 eV per atom
Raw total energy ... -25.1 eV per cell
Crystal system ... hexagonal

Cell lengths 6.6730, 6.6730, 10.4594 Å; angles 90.00, 90.00, 120.00 degrees
Space group P-6m2 (No. 187)
Inequivalent atoms, fractional coordinates:
Ba  0.0000  0.0000  0.0000 (multiplicity 1)
Li  0.0000  0.0000  0.5000 (multiplicity 1)
Mg  0.0108  0.5054  0.0000 (multiplicity 3)
Mg  0.1712  0.3423  0.2623 (multiplicity 6)
Mg  0.5009  0.0018  0.5000 (multiplicity 3)
Mg  0.6667  0.3333  0.2457 (multiplicity 2)

BaBrF | PBE-GGA | optimized geometry

E_form ... -3.24 eV per atom
Raw total energy ... -29.5 eV per cell
Crystal system ... tetragonal

Cell lengths 4.577, 4.577, 7.569 Å; angles 90.00, 90.00, 90.00 degrees
Space group P4/nmm (No. 129, origin choice 2)
Inequivalent atoms, fractional coordinates:
Ba  0.250  0.250  0.193 (multiplicity 2)
Br  0.250  0.250  0.649 (multiplicity 2)
F  0.250  0.750  0.000 (multiplicity 2)

Tl3H | PBE-GGA | optimized geometry

Total magnetization ... 0.00 μB per formula unit
Offset from the most stable computed form ... 0.030 eV per atom
E_form ... 0.41 eV per atom
Raw total energy ... -34.7 eV per cell
Crystal system ... cubic

Cell lengths 7.475, 7.475, 7.475 Å; angles 90.00, 90.00, 90.00 degrees
Space group Fm-3m (No. 225)
Inequivalent atoms, fractional coordinates:
Tl  0.000  0.000  0.000 (multiplicity 4)
Tl  0.250  0.250  0.250 (multiplicity 8)
H  0.000  0.000  0.500 (multiplicity 4)

NpPt3 | PBE-GGA | optimized geometry

E_form ... -0.61 eV per atom
Raw total energy ... -134.4 eV per cell
Crystal system ... hexagonal

Cell lengths 5.7994, 5.7994, 9.8418 Å; angles 90.00, 90.00, 120.00 degrees
Space group P6_3/mmc (No. 194)
Inequivalent atoms, fractional coordinates:
Np  0.0000  0.0000  0.0000 (multiplicity 2)
Np  0.3333  0.6667  0.2500 (multiplicity 2)
Pt  0.0000  0.5000  0.0000 (multiplicity 6)
Pt  0.1697  0.3394  0.7500 (multiplicity 6)